[1]
VASP calculation (GGA+U) on a relaxed structure of NbFeO4.

Output
V = 275.1 Å³ per cell
final energy = -8.0069 eV per atom

a = 5.6991 Å, b = 9.4580 Å, c = 5.1030 Å
α = 90.00°, β = 90.00°, γ = 90.00°
Space group Pna2_1 (No. 33)
Symmetry-distinct sites (fractional):
Nb (0.0810, 0.1271, 0.0000) [4 per cell]
Fe (0.0759, 0.6207, 0.9783) [4 per cell]
O (0.1153, 0.7400, 0.3066) [4 per cell]
O (0.1368, 0.0096, 0.6462) [4 per cell]
O (0.1374, 0.5156, 0.6365) [4 per cell]
O (0.1433, 0.2406, 0.3045) [4 per cell]

[2]
VASP calculation (GGA+U) on a relaxed structure of NbFeO4.

Output
V = 136.5 Å³ per cell
final energy = -8.0303 eV per atom

a = 5.0459 Å, b = 4.7326 Å, c = 5.7177 Å
α = 90.00°, β = 90.00°, γ = 90.00°
Space group Pnc2 (No. 30)
Symmetry-distinct sites (fractional):
Nb (0.0000, 0.0000, 0.0000) [2 per cell]
Fe (0.5000, 0.0000, 0.6467) [2 per cell]
O (0.1688, 0.2277, 0.6956) [4 per cell]
O (0.3214, 0.7244, 0.4216) [4 per cell]

[3]
VASP calculation (GGA+U) on a relaxed structure of NbFeO4.

Output
V = 328.0 Å³ per cell
piezoelectric modulus e_max = 0.2 C/m2
final energy = -7.9422 eV per atom

a = 6.1904 Å, b = 6.1904 Å, c = 8.5594 Å
α = 90.00°, β = 90.00°, γ = 90.00°
Space group P4_322 (No. 95)
Symmetry-distinct sites (fractional):
Nb (0.0000, 0.2944, 0.0000) [4 per cell]
Fe (0.2349, 0.2349, 0.6250) [4 per cell]
O (0.0049, 0.2221, 0.2307) [8 per cell]
O (0.2228, 0.4961, 0.9779) [8 per cell]

[4]
VASP calculation (GGA+U) on a relaxed structure of NbFe3P6O24.

Output
V = 1482.5 Å³ per cell
final energy = -7.1280 eV per atom

a = 8.7773 Å, b = 8.7773 Å, c = 22.2199 Å
α = 90.00°, β = 90.00°, γ = 120.00°
Space group R3 (No. 146, hexagonal axes)
Symmetry-distinct sites (fractional):
Nb (0.0000, 0.0000, 0.0000) [3 per cell]
Fe (0.0000, 0.0000, 0.2832) [3 per cell]
Fe (0.0000, 0.0000, 0.4984) [3 per cell]
Fe (0.0000, 0.0000, 0.7836) [3 per cell]
P (0.0006, 0.2868, 0.8897) [9 per cell]
P (0.0071, 0.7224, 0.3910) [9 per cell]
O (0.0253, 0.8238, 0.0475) [9 per cell]
O (0.0322, 0.2039, 0.8335) [9 per cell]
O (0.0339, 0.2007, 0.5510) [9 per cell]
O (0.0350, 0.8346, 0.3347) [9 per cell]
O (0.1623, 0.4745, 0.6125) [9 per cell]
O (0.1627, 0.4706, 0.8971) [9 per cell]
O (0.1628, 0.6976, 0.1140) [9 per cell]
O (0.1697, 0.7031, 0.3984) [9 per cell]

[5]
VASP calculation (GGA+U) on a relaxed structure of Nb3FeP6O24.

Output
V = 1486.3 Å³ per cell
final energy = -7.8190 eV per atom

a = 8.7847 Å, b = 8.7847 Å, c = 22.2399 Å
α = 90.00°, β = 90.00°, γ = 120.00°
Space group R3 (No. 146, hexagonal axes)
Symmetry-distinct sites (fractional):
Nb (0.0000, 0.0000, 0.0000) [3 per cell]
Nb (0.0000, 0.0000, 0.2179) [3 per cell]
Nb (0.0000, 0.0000, 0.7187) [3 per cell]
Fe (0.0000, 0.0000, 0.5005) [3 per cell]
P (0.0007, 0.2813, 0.6072) [9 per cell]
P (0.0065, 0.7158, 0.1092) [9 per cell]
O (0.0223, 0.8273, 0.0528) [9 per cell]
O (0.0276, 0.1981, 0.2682) [9 per cell]
O (0.0286, 0.2012, 0.5515) [9 per cell]
O (0.0297, 0.8304, 0.7679) [9 per cell]
O (0.1614, 0.4694, 0.3315) [9 per cell]
O (0.1615, 0.4689, 0.6168) [9 per cell]
O (0.1626, 0.6932, 0.8314) [9 per cell]
O (0.1656, 0.6952, 0.1147) [9 per cell]

[6]
VASP calculation (GGA+U) on a relaxed structure of NbFe7P12O48.

Output
V = 957.7 Å³ per cell
final energy = -6.9595 eV per atom

a = 8.8064 Å, b = 8.8349 Å, c = 12.3089 Å
α = 90.13°, β = 90.00°, γ = 90.17°
Space group P1 (No. 1)
Symmetry-distinct sites (fractional):
Nb (0.0000, 0.0000, 0.0000) [1 per cell]
Fe (0.0029, 0.5733, 0.7625) [1 per cell]
Fe (0.0039, 0.0725, 0.5009) [1 per cell]
Fe (0.0050, 0.4982, 0.2627) [1 per cell]
Fe (0.5014, 0.5698, 0.5007) [1 per cell]
Fe (0.5025, 0.9995, 0.2636) [1 per cell]
Fe (0.5035, 0.4990, 0.0011) [1 per cell]
Fe (0.5054, 0.0677, 0.7643) [1 per cell]
P (0.1424, 0.4295, 0.5266) [1 per cell]
P (0.1449, 0.1443, 0.2401) [1 per cell]
P (0.2216, 0.2860, 0.8805) [1 per cell]
P (0.2873, 0.7827, 0.8804) [1 per cell]
P (0.3610, 0.9287, 0.5260) [1 per cell]
P (0.3632, 0.6413, 0.2381) [1 per cell]
P (0.6380, 0.1402, 0.0277) [1 per cell]
P (0.6417, 0.4291, 0.7373) [1 per cell]
P (0.7225, 0.2845, 0.3823) [1 per cell]
P (0.7839, 0.7853, 0.3826) [1 per cell]
P (0.8631, 0.6376, 0.0259) [1 per cell]
P (0.8632, 0.9288, 0.7345) [1 per cell]
O (0.0719, 0.0910, 0.3459) [1 per cell]
O (0.0717, 0.5311, 0.6137) [1 per cell]
O (0.0779, 0.4776, 0.4159) [1 per cell]
O (0.0800, 0.0428, 0.1461) [1 per cell]
O (0.1059, 0.2616, 0.5470) [1 per cell]
O (0.1064, 0.3095, 0.2153) [1 per cell]
O (0.1133, 0.1818, 0.9468) [1 per cell]
O (0.1221, 0.3924, 0.8135) [1 per cell]
O (0.1839, 0.8785, 0.9566) [1 per cell]
O (0.1872, 0.9435, 0.5204) [1 per cell]
O (0.1895, 0.6243, 0.2394) [1 per cell]
O (0.1906, 0.6907, 0.8001) [1 per cell]
O (0.3175, 0.1254, 0.2434) [1 per cell]
O (0.3166, 0.4459, 0.5256) [1 per cell]
O (0.3182, 0.1894, 0.8041) [1 per cell]
O (0.3187, 0.3751, 0.9625) [1 per cell]
O (0.3812, 0.6774, 0.9522) [1 per cell]
O (0.3927, 0.8862, 0.8158) [1 per cell]
O (0.4007, 0.7613, 0.5456) [1 per cell]
O (0.4006, 0.8094, 0.2191) [1 per cell]
O (0.4263, 0.0300, 0.6157) [1 per cell]
O (0.4298, 0.5902, 0.3477) [1 per cell]
O (0.4318, 0.9813, 0.4182) [1 per cell]
O (0.4356, 0.5404, 0.1509) [1 per cell]
O (0.5644, 0.0395, 0.1130) [1 per cell]
O (0.5729, 0.5318, 0.6504) [1 per cell]
O (0.5760, 0.4748, 0.8486) [1 per cell]
O (0.5820, 0.0949, 0.9142) [1 per cell]
O (0.6034, 0.2615, 0.7166) [1 per cell]
O (0.6083, 0.3092, 0.0463) [1 per cell]
O (0.6182, 0.3869, 0.4501) [1 per cell]
O (0.6240, 0.1796, 0.3121) [1 per cell]
O (0.6860, 0.6911, 0.4611) [1 per cell]
O (0.6885, 0.8771, 0.3014) [1 per cell]
O (0.6891, 0.6270, 0.0221) [1 per cell]
O (0.6905, 0.9479, 0.7291) [1 per cell]
O (0.8139, 0.1159, 0.0328) [1 per cell]
O (0.8152, 0.4484, 0.7398) [1 per cell]
O (0.8183, 0.1932, 0.4636) [1 per cell]
O (0.8204, 0.3781, 0.3035) [1 per cell]
O (0.8816, 0.8899, 0.4537) [1 per cell]
O (0.8882, 0.6828, 0.3150) [1 per cell]
O (0.9025, 0.7622, 0.7131) [1 per cell]
O (0.9050, 0.8077, 0.0477) [1 per cell]
O (0.9199, 0.9720, 0.8506) [1 per cell]
O (0.9297, 0.5376, 0.1145) [1 per cell]
O (0.9298, 0.5938, 0.9152) [1 per cell]
O (0.9422, 0.0335, 0.6533) [1 per cell]

[7]
VASP calculation (GGA+U) on a relaxed structure of NbFeP2O8.

Output
V = 312.7 Å³ per cell
final energy = -7.6527 eV per atom

a = 4.9992 Å, b = 6.1677 Å, c = 10.1528 Å
α = 90.00°, β = 92.76°, γ = 90.00°
Space group P2_1/m (No. 11)
Symmetry-distinct sites (fractional):
Nb (0.0519, 0.2500, 0.2800) [2 per cell]
Fe (0.4556, 0.2500, 0.7780) [2 per cell]
P (0.0764, 0.7500, 0.4059) [2 per cell]
P (0.3972, 0.7500, 0.9020) [2 per cell]
O (0.1790, 0.7500, 0.5518) [2 per cell]
O (0.2036, 0.5489, 0.3333) [4 per cell]
O (0.2269, 0.2500, 0.6102) [2 per cell]
O (0.2480, 0.5567, 0.8261) [4 per cell]
O (0.3005, 0.2500, 0.1224) [2 per cell]
O (0.3501, 0.7500, 0.0479) [2 per cell]

[8]
VASP calculation (GGA+U) on a relaxed structure of Ti3NbFe2P6O24.

Output
V = 1397.6 Å³ per cell
final energy = -7.8082 eV per atom

a = 8.7854 Å, b = 8.7854 Å, c = 20.9089 Å
α = 90.00°, β = 90.00°, γ = 120.00°
Space group R3 (No. 146, hexagonal axes)
Symmetry-distinct sites (fractional):
Ti (0.0000, 0.0000, 0.0000) [3 per cell]
Ti (0.0000, 0.0000, 0.2121) [3 per cell]
Ti (0.0000, 0.0000, 0.7121) [3 per cell]
Nb (0.0000, 0.0000, 0.4990) [3 per cell]
Fe (0.0000, 0.0000, 0.3536) [3 per cell]
Fe (0.0000, 0.0000, 0.8563) [3 per cell]
P (0.0002, 0.7031, 0.6074) [9 per cell]
P (0.0447, 0.3731, 0.7726) [9 per cell]
O (0.0024, 0.1944, 0.1669) [9 per cell]
O (0.0035, 0.8085, 0.6664) [9 per cell]
O (0.0162, 0.8323, 0.2802) [9 per cell]
O (0.0212, 0.1860, 0.7796) [9 per cell]
O (0.1356, 0.6710, 0.2123) [9 per cell]
O (0.1452, 0.4709, 0.7123) [9 per cell]
O (0.1616, 0.4767, 0.0984) [9 per cell]
O (0.1657, 0.6829, 0.6000) [9 per cell]

[9]
VASP calculation (GGA+U) on a relaxed structure of NbV2Fe3P6O24.

Output
V = 1389.4 Å³ per cell
final energy = -7.4749 eV per atom

a = 8.6922 Å, b = 8.6922 Å, c = 21.2339 Å
α = 90.00°, β = 90.00°, γ = 120.00°
Space group R3 (No. 146, hexagonal axes)
Symmetry-distinct sites (fractional):
Nb (0.0000, 0.0000, 0.0000) [3 per cell]
V (0.0000, 0.0000, 0.3556) [3 per cell]
V (0.0000, 0.0000, 0.8534) [3 per cell]
Fe (0.0000, 0.0000, 0.2111) [3 per cell]
Fe (0.0000, 0.0000, 0.5012) [3 per cell]
Fe (0.0000, 0.0000, 0.7094) [3 per cell]
P (0.0000, 0.2980, 0.1086) [9 per cell]
P (0.0458, 0.6724, 0.2724) [9 per cell]
O (0.0002, 0.8045, 0.5458) [9 per cell]
O (0.0018, 0.1967, 0.1662) [9 per cell]
O (0.0031, 0.8059, 0.6659) [9 per cell]
O (0.0180, 0.1829, 0.7780) [9 per cell]
O (0.0190, 0.8353, 0.2781) [9 per cell]
O (0.1454, 0.4742, 0.7148) [9 per cell]
O (0.1657, 0.6835, 0.6013) [9 per cell]
O (0.1684, 0.4812, 0.0995) [9 per cell]

[10]
VASP calculation (GGA+U) on a relaxed structure of NbV3Fe2P6O24.

Output
V = 1392.6 Å³ per cell
final energy = -7.5758 eV per atom

a = 8.7311 Å, b = 8.7311 Å, c = 21.0948 Å
α = 90.00°, β = 90.00°, γ = 120.00°
Space group R3 (No. 146, hexagonal axes)
Symmetry-distinct sites (fractional):
Nb (0.0000, 0.0000, 0.0000) [3 per cell]
V (0.0000, 0.0000, 0.2154) [3 per cell]
V (0.0000, 0.0000, 0.4992) [3 per cell]
V (0.0000, 0.0000, 0.7130) [3 per cell]
Fe (0.0000, 0.0000, 0.3565) [3 per cell]
Fe (0.0000, 0.0000, 0.8522) [3 per cell]
P (0.0003, 0.2966, 0.1093) [9 per cell]
P (0.0454, 0.6712, 0.2735) [9 per cell]
O (0.0015, 0.1964, 0.1674) [9 per cell]
O (0.0010, 0.8041, 0.5464) [9 per cell]
O (0.0024, 0.8055, 0.6674) [9 per cell]
O (0.0174, 0.8331, 0.2802) [9 per cell]
O (0.0179, 0.1842, 0.7795) [9 per cell]
O (0.1458, 0.4747, 0.7153) [9 per cell]
O (0.1651, 0.6830, 0.6020) [9 per cell]
O (0.1667, 0.4800, 0.0992) [9 per cell]

[11]
VASP calculation (GGA+U) on a relaxed structure of NbFePb2O6.

Output
V = 531.5 Å³ per cell
energy above the most stable polymorph in this dataset = 0.000 eV/atom

a = 8.1002 Å, b = 8.1002 Å, c = 8.1002 Å
α = 90.00°, β = 90.00°, γ = 90.00°
Space group Fm-3m (No. 225)
Symmetry-distinct sites (fractional):
Nb (0.0000, 0.0000, 0.0000) [4 per cell]
Fe (0.0000, 0.0000, 0.5000) [4 per cell]
Pb (0.2500, 0.2500, 0.2500) [8 per cell]
O (0.0000, 0.0000, 0.2492) [24 per cell]

[12]
VASP calculation (GGA+U) on a relaxed structure of NbFePb2O6.

Output
V = 133.4 Å³ per cell
energy above the most stable polymorph in this dataset = 0.005 eV/atom

a = 4.0521 Å, b = 4.0521 Å, c = 8.1237 Å
α = 90.00°, β = 90.00°, γ = 90.00°
Space group P4/mmm (No. 123)
Symmetry-distinct sites (fractional):
Nb (0.0000, 0.0000, 0.0000) [1 per cell]
Fe (0.0000, 0.0000, 0.5000) [1 per cell]
Pb (0.5000, 0.5000, 0.2823) [2 per cell]
O (0.0000, 0.0000, 0.2488) [2 per cell]
O (0.0000, 0.5000, 0.0000) [2 per cell]
O (0.0000, 0.5000, 0.5000) [2 per cell]